Record 1
VASP calculation (PBE+U) on crystalline CoTePb2O6 at its relaxed geometry.

Values from the calculation:
Total magnetization, μB per cell: 2.00
Energy above the lowest structure with this stoichiometry, eV per formula unit: 0.97
Uncorrected energy, eV per atom: -5.5417
SG: P2_1/c, No. 14
Formation energy from the elements, eV/f.u.: -13.81

Cell: 5.7942 5.7335 9.8825 Å, 90.00 125.58 90.00°
Last column: nearest neighbours and their distance in Å.
Sites, in units of the cell vectors:
Co 0.0000 0.0000 0.0000  6 O 2.10-2.14
Co 0.0000 0.5000 0.5000  6 O 2.10-2.14
Te 0.5000 0.0000 0.5000  6 O 1.96
Te 0.5000 0.5000 0.0000  6 O 1.96
Pb 0.2572 0.0073 0.7533  6 O 2.58-2.84
Pb 0.2572 0.4927 0.2533  6 O 2.58-2.84
Pb 0.7428 0.5073 0.7467  6 O 2.58-2.84
Pb 0.7428 0.9927 0.2467  6 O 2.58-2.84
O 0.2087 0.0085 0.2589  1 Te 1.96, 1 Co 2.10
O 0.2087 0.4915 0.7588  1 Te 1.96, 1 Co 2.10
O 0.2812 0.2291 0.5297  1 Te 1.96, 1 Co 2.14
O 0.2812 0.2709 0.0297  1 Te 1.96, 1 Co 2.14
O 0.3011 0.7453 0.5254  1 Te 1.96, 1 Co 2.14
O 0.3011 0.7547 0.0254  1 Te 1.96, 1 Co 2.14
O 0.6989 0.2453 0.9746  1 Te 1.96, 1 Co 2.14
O 0.6989 0.2547 0.4746  1 Te 1.96, 1 Co 2.14
O 0.7188 0.7291 0.9703  1 Te 1.96, 1 Co 2.14
O 0.7188 0.7709 0.4703  1 Te 1.96, 1 Co 2.14
O 0.7913 0.5085 0.2412  1 Te 1.96, 1 Co 2.10
O 0.7913 0.9915 0.7412  1 Te 1.96, 1 Co 2.10

Record 2
VASP calculation (PBE+U) on crystalline Li9Mn2Co5O16 at its relaxed geometry.

Values from the calculation:
Total magnetization, μB per cell: 10.00
Energy above the lowest structure with this stoichiometry, eV per formula unit: 1.13
Uncorrected energy, eV per atom: -5.8193
SG: P-1, No. 2
Formation energy from the elements, eV/f.u.: -58.52

Cell: 5.1308 7.7225 7.7734 Å, 81.02 84.05 71.31°
Last column: nearest neighbours and their distance in Å.
Sites, in units of the cell vectors:
Li 0.0000 0.0000 0.0000  6 O 2.11-2.12
Li 0.4942 0.9372 0.1820  6 O 2.07-2.26
Li 0.4946 0.4398 0.6914  5 O 2.02-2.20
Li 0.4951 0.6924 0.9379  6 O 2.03-2.25
Li 0.4986 0.8137 0.5620  6 O 2.09-2.16
Li 0.5014 0.1863 0.4380  6 O 2.09-2.16
Li 0.5049 0.3076 0.0621  6 O 2.03-2.25
Li 0.5054 0.5602 0.3086  5 O 2.02-2.20
Li 0.5058 0.0628 0.8180  6 O 2.07-2.26
Mn 0.0095 0.2458 0.2487  6 O 1.92-2.00
Mn 0.9905 0.7542 0.7513  6 O 1.92-2.00
Co 0.0000 0.5000 0.5000  6 O 1.98-2.05
Co 0.0057 0.1230 0.6317  6 O 1.90-2.10
Co 0.0058 0.6346 0.1231  4 O 1.87-2.07
Co 0.9942 0.3654 0.8769  4 O 1.87-2.07
Co 0.9943 0.8770 0.3683  6 O 1.90-2.10
O 0.2192 0.6705 0.5376  1 Mn 2.00, 2 Co 2.02-2.05, 2 Li 2.11-2.16
O 0.2197 0.5441 0.8972  1 Mn 1.94, 2 Co 2.07-2.10, 2 Li 2.10-2.16
O 0.2198 0.9087 0.7694  1 Co 1.90, 1 Mn 1.95, 2 Li 2.10-2.11
O 0.2279 0.4003 0.2835  1 Mn 1.94, 2 Co 2.05-2.10, 2 Li 2.09-2.17
O 0.2315 0.0411 0.4005  1 Mn 1.93, 2 Co 2.07-2.10, 3 Li 2.11-2.16
O 0.2334 0.2913 0.6542  3 Co 1.98-2.06, 3 Li 2.09-2.19
O 0.2346 0.1684 0.0443  1 Mn 1.92, 1 Co 2.01, 3 Li 2.03-2.12
O 0.2363 0.7674 0.1630  2 Co 1.87-2.04, 1 Li 2.02
O 0.7637 0.2326 0.8370  2 Co 1.87-2.04, 1 Li 2.02
O 0.7654 0.8316 0.9557  1 Mn 1.92, 1 Co 2.01, 3 Li 2.03-2.12
O 0.7666 0.7087 0.3458  3 Co 1.98-2.06, 3 Li 2.09-2.19
O 0.7685 0.9589 0.5995  1 Mn 1.93, 2 Co 2.07-2.10, 3 Li 2.11-2.16
O 0.7721 0.5997 0.7165  1 Mn 1.94, 2 Co 2.05-2.10, 2 Li 2.09-2.17
O 0.7802 0.0913 0.2306  1 Co 1.90, 1 Mn 1.95, 2 Li 2.10-2.11
O 0.7803 0.4559 0.1028  1 Mn 1.94, 2 Co 2.07-2.10, 2 Li 2.10-2.16
O 0.7808 0.3295 0.4624  1 Mn 2.00, 2 Co 2.02-2.05, 2 Li 2.11-2.16

Record 3
VASP calculation (PBE+U) on crystalline Li4MnP2O8 at its relaxed geometry.

Values from the calculation:
Total magnetization, μB per cell: 20.00
Energy above the lowest structure with this stoichiometry, eV per formula unit: 0.00
Uncorrected energy, eV per atom: -6.6899
SG: P2_1/c, No. 14
Formation energy from the elements, eV/f.u.: -40.30

Cell: 8.3122 10.4730 8.2456 Å, 90.00 104.50 90.00°
Last column: nearest neighbours and their distance in Å.
Sites, in units of the cell vectors:
Li 0.0214 0.0730 0.2721  4 O 2.01-2.08
Li 0.0214 0.4270 0.7721  4 O 2.01-2.08
Li 0.0982 0.1631 0.5995  4 O 1.98-2.08
Li 0.0982 0.3369 0.0995  4 O 1.98-2.08
Li 0.1529 0.6628 0.6545  4 O 1.95-2.00
Li 0.1529 0.8372 0.1545  4 O 1.95-2.00
Li 0.3470 0.1514 0.3486  4 O 1.97-2.09
Li 0.3470 0.3486 0.8486  4 O 1.97-2.09
Li 0.6530 0.6514 0.1514  4 O 1.97-2.09
Li 0.6530 0.8486 0.6514  4 O 1.97-2.09
Li 0.8471 0.1628 0.8455  4 O 1.95-2.00
Li 0.8471 0.3372 0.3455  4 O 1.95-2.00
Li 0.9018 0.6631 0.9005  4 O 1.98-2.08
Li 0.9018 0.8369 0.4005  4 O 1.98-2.08
Li 0.9786 0.5730 0.2279  4 O 2.01-2.08
Li 0.9786 0.9270 0.7279  4 O 2.01-2.08
Mn 0.4083 0.6561 0.4079  4 O 2.04-2.05
Mn 0.4083 0.8439 0.9079  4 O 2.04-2.05
Mn 0.5917 0.1561 0.0921  4 O 2.04-2.05
Mn 0.5917 0.3439 0.5921  4 O 2.04-2.05
P 0.2058 0.0932 0.9732  4 O 1.55-1.56
P 0.2058 0.4068 0.4732  4 O 1.55-1.56
P 0.2667 0.5911 0.0309  4 O 1.55-1.57
P 0.2667 0.9089 0.5309  4 O 1.55-1.57
P 0.7333 0.0911 0.4691  4 O 1.55-1.57
P 0.7333 0.4089 0.9691  4 O 1.55-1.57
P 0.7942 0.5932 0.5268  4 O 1.55-1.56
P 0.7942 0.9068 0.0268  4 O 1.55-1.56
O 0.0595 0.1008 0.8136  1 P 1.55
O 0.0595 0.3992 0.3136  1 P 1.55
O 0.1200 0.6532 0.0893  1 P 1.56
O 0.1200 0.8468 0.5893  1 P 1.56
O 0.1578 0.1526 0.1273  1 P 1.55
O 0.1578 0.3474 0.6273  1 P 1.55
O 0.2228 0.0488 0.4774  1 P 1.55
O 0.2228 0.4512 0.9774  1 P 1.55
O 0.2516 0.5504 0.5097  1 P 1.56
O 0.2516 0.9496 0.0097  1 P 1.56
O 0.2985 0.6676 0.8796  1 P 1.56
O 0.2985 0.8324 0.3796  1 P 1.56
O 0.3568 0.1679 0.9391  1 P 1.56
O 0.3568 0.3321 0.4391  1 P 1.56
O 0.4288 0.6015 0.1761  1 P 1.57
O 0.4288 0.8985 0.6761  1 P 1.57
O 0.5712 0.1015 0.3239  1 P 1.57
O 0.5712 0.3985 0.8239  1 P 1.57
O 0.6432 0.6679 0.5609  1 P 1.56
O 0.6432 0.8321 0.0609  1 P 1.56
O 0.7015 0.1676 0.6204  1 P 1.56
O 0.7015 0.3324 0.1204  1 P 1.56
O 0.7484 0.0504 0.9903  1 P 1.56
O 0.7484 0.4496 0.4903  1 P 1.56
O 0.7772 0.5488 0.0226  1 P 1.55
O 0.7772 0.9512 0.5226  1 P 1.55
O 0.8422 0.6526 0.3727  1 P 1.55
O 0.8422 0.8474 0.8727  1 P 1.55
O 0.8800 0.1532 0.4107  1 P 1.56
O 0.8800 0.3468 0.9107  1 P 1.56
O 0.9405 0.6008 0.6864  1 P 1.55
O 0.9405 0.8992 0.1864  1 P 1.55

> What is the energy above the lowest structure with this stoichiometry in the third record?

0.00 eV per formula unit